Record 1
Here is crystalline Ca3In2N4 at its relaxed geometry from Materials Project. Energies are from PBE.

Properties
crystal system: monoclinic
calculated formation energy: -0.586 eV/atom
magnetic moment: 0.000 μB per formula unit
excess energy over the best structure of this formula in the dataset: 0 meV per atom

Unit cell a=11.0165 b=8.7625 c=6.0070 alpha=90.00 beta=90.35 gamma=90.00
With the nearest neighbours (Å) after each atom.
Space group C2/c (No. 15)
Unique sites:
Ca 0.0000 0.1113 0.2500 (multiplicity 4)  2 N 2.40
Ca 0.1108 0.3673 0.9472 (multiplicity 8)  3 N 2.42-2.61
In 0.2012 0.1199 0.6161 (multiplicity 8)  4 N 2.17-2.28
N 0.1076 0.3366 0.4935 (multiplicity 8)  2 In 2.24-2.28, 1 Ca 2.45
N 0.1492 0.0954 0.9619 (multiplicity 8)  2 In 2.17-2.18, 2 Ca 2.40-2.42


Record 2
Here is crystalline Ca3In2N4 at its relaxed geometry from Materials Project. Energies are from PBE.

Properties
crystal system: orthorhombic
calculated formation energy: -0.515 eV/atom
magnetic moment: 0.001 μB per formula unit
excess energy over the best structure of this formula in the dataset: 71 meV per atom

Unit cell a=5.9964 b=11.1190 c=9.0679 alpha=90.00 beta=90.00 gamma=90.00
With the nearest neighbours (Å) after each atom.
Space group Pnna (No. 52)
Unique sites:
Ca 0.1120 0.1614 0.0950 (multiplicity 8)  3 N 2.33-2.48
Ca 0.2500 0.0000 0.4017 (multiplicity 4)  4 N 2.51-2.78
In 0.1498 0.2500 0.7500 (multiplicity 4)  4 N 2.17-2.34
In 0.2500 0.0000 0.7499 (multiplicity 4)  4 N 2.20
N 0.0243 0.6006 0.3532 (multiplicity 8)  2 In 2.17-2.20, 1 Ca 2.33
N 0.0739 0.6410 0.8741 (multiplicity 8)  2 In 2.20-2.34